[1]
# BaZnSbF7 GGA-PBE relaxed
# SG   No. 14
data_BaZnSbF7
_symmetry_space_group_name_H-M 'P 1'
_symmetry_Int_Tables_number 1
_symmetry_space_group_name_Hall 'P 1'
_cell_length_a 10.698
_cell_length_b 5.779
_cell_length_c 10.008
_cell_angle_alpha 86.70
_cell_angle_beta 90.00
_cell_angle_gamma 90.00
loop_
_atom_site_label
_atom_site_type_symbol
_atom_site_fract_x
_atom_site_fract_y
_atom_site_fract_z
_atom_site_occupancy
Ba1 Ba 0.331 0.736 0.490 1
Ba2 Ba 0.831 0.264 0.010 1
Ba3 Ba 0.669 0.264 0.510 1
Ba4 Ba 0.169 0.736 0.990 1
Zn1 Zn 0.381 0.315 0.808 1
Zn2 Zn 0.881 0.685 0.692 1
Zn3 Zn 0.119 0.315 0.308 1
Zn4 Zn 0.619 0.685 0.192 1
Sb1 Sb 0.594 0.791 0.830 1
Sb2 Sb 0.406 0.209 0.170 1
Sb3 Sb 0.906 0.791 0.330 1
Sb4 Sb 0.094 0.209 0.670 1
F1 F 0.462 0.867 0.130 1
F2 F 0.103 0.611 0.403 1
F3 F 0.720 0.509 0.765 1
F4 F 0.280 0.491 0.235 1
F5 F 0.462 0.093 0.366 1
F6 F 0.792 0.810 0.518 1
F7 F 0.762 0.965 0.768 1
F8 F 0.962 0.907 0.134 1
F9 F 0.397 0.611 0.903 1
F10 F 0.220 0.491 0.735 1
F11 F 0.038 0.867 0.630 1
F12 F 0.538 0.133 0.870 1
F13 F 0.262 0.035 0.732 1
F14 F 0.965 0.581 0.861 1
F15 F 0.538 0.907 0.634 1
F16 F 0.038 0.093 0.866 1
F17 F 0.238 0.035 0.232 1
F18 F 0.962 0.133 0.370 1
F19 F 0.465 0.419 0.639 1
F20 F 0.897 0.389 0.597 1
F21 F 0.035 0.419 0.139 1
F22 F 0.738 0.965 0.268 1
F23 F 0.535 0.581 0.361 1
F24 F 0.292 0.190 0.982 1
F25 F 0.208 0.190 0.482 1
F26 F 0.708 0.810 0.018 1
F27 F 0.603 0.389 0.097 1
F28 F 0.780 0.509 0.265 1

[2]
This record from Materials Project describes Na4ScTiSi2PO12 after structural relaxation. The functional is GGA-PBE.

Structure (CIF):
```
data_Na4ScTiSi2PO12
_symmetry_space_group_name_H-M 'P 1'
_symmetry_Int_Tables_number 1
_symmetry_space_group_name_Hall 'P 1'
_cell_length_a 9.095
_cell_length_b 9.095
_cell_length_c 22.079
_cell_angle_alpha 90.49
_cell_angle_beta 89.51
_cell_angle_gamma 119.96
loop_
_atom_site_label
_atom_site_type_symbol
_atom_site_fract_x
_atom_site_fract_y
_atom_site_fract_z
_atom_site_occupancy
Na1 Na 0.639 0.005 0.251 1
Na2 Na 0.372 0.370 0.247 1
Na3 Na 0.991 0.626 0.249 1
Na4 Na 0.630 0.628 0.747 1
Na5 Na 0.995 0.361 0.751 1
Na6 Na 0.374 0.009 0.749 1
Na7 Na 0.305 0.339 0.584 1
Na8 Na 0.038 0.703 0.580 1
Na9 Na 0.657 0.959 0.583 1
Na10 Na 0.297 0.962 0.080 1
Na11 Na 0.661 0.695 0.084 1
Na12 Na 0.041 0.343 0.083 1
Na13 Na 0.972 0.672 0.918 1
Na14 Na 0.705 0.037 0.913 1
Na15 Na 0.324 0.292 0.916 1
Na16 Na 0.963 0.295 0.413 1
Na17 Na 0.328 0.028 0.418 1
Na18 Na 0.708 0.676 0.416 1
Na19 Na 0.996 0.993 0.499 1
Na20 Na 0.007 0.004 0.999 1
Na21 Na 0.662 0.326 0.832 1
Na22 Na 0.674 0.338 0.332 1
Na23 Na 0.329 0.659 0.166 1
Na24 Na 0.341 0.671 0.666 1
Sc1 Sc 0.994 0.996 0.351 1
Sc2 Sc 0.004 0.006 0.851 1
Sc3 Sc 0.661 0.329 0.685 1
Sc4 Sc 0.671 0.339 0.185 1
Sc5 Sc 0.327 0.663 0.018 1
Sc6 Sc 0.337 0.673 0.518 1
Ti1 Ti 0.998 0.000 0.649 1
Ti2 Ti 0.000 0.002 0.149 1
Ti3 Ti 0.665 0.333 0.982 1
Ti4 Ti 0.667 0.335 0.482 1
Ti5 Ti 0.332 0.667 0.316 1
Ti6 Ti 0.333 0.668 0.816 1
Si1 Si 0.702 0.707 0.251 1
Si2 Si 0.004 0.296 0.251 1
Si3 Si 0.293 0.298 0.751 1
Si4 Si 0.704 0.996 0.751 1
Si5 Si 0.369 0.041 0.584 1
Si6 Si 0.670 0.630 0.585 1
Si7 Si 0.959 0.631 0.084 1
Si8 Si 0.370 0.330 0.085 1
Si9 Si 0.036 0.374 0.917 1
Si10 Si 0.337 0.963 0.918 1
Si11 Si 0.626 0.964 0.417 1
Si12 Si 0.037 0.663 0.418 1
P1 P 0.289 0.995 0.250 1
P2 P 0.005 0.711 0.750 1
P3 P 0.955 0.328 0.583 1
P4 P 0.672 0.045 0.083 1
P5 P 0.622 0.661 0.916 1
P6 P 0.339 0.378 0.416 1
O1 O 0.213 0.026 0.307 1
O2 O 0.820 0.788 0.310 1
O3 O 0.976 0.183 0.311 1
O4 O 0.212 0.180 0.810 1
O5 O 0.974 0.787 0.807 1
O6 O 0.817 0.024 0.811 1
O7 O 0.805 0.969 0.692 1
O8 O 0.164 0.194 0.692 1
O9 O 0.028 0.827 0.694 1
O10 O 0.806 0.836 0.192 1
O11 O 0.031 0.195 0.192 1
O12 O 0.173 0.972 0.194 1
O13 O 0.880 0.359 0.640 1
O14 O 0.487 0.121 0.643 1
O15 O 0.643 0.517 0.644 1
O16 O 0.879 0.513 0.143 1
O17 O 0.641 0.120 0.140 1
O18 O 0.483 0.357 0.144 1
O19 O 0.472 0.302 0.025 1
O20 O 0.831 0.527 0.025 1
O21 O 0.695 0.160 0.027 1
O22 O 0.473 0.169 0.525 1
O23 O 0.698 0.528 0.525 1
O24 O 0.840 0.305 0.527 1
O25 O 0.546 0.693 0.974 1
O26 O 0.153 0.454 0.976 1
O27 O 0.310 0.850 0.977 1
O28 O 0.546 0.847 0.476 1
O29 O 0.307 0.454 0.474 1
O30 O 0.150 0.690 0.477 1
O31 O 0.138 0.636 0.358 1
O32 O 0.497 0.861 0.359 1
O33 O 0.362 0.493 0.360 1
O34 O 0.139 0.503 0.859 1
O35 O 0.364 0.862 0.858 1
O36 O 0.507 0.638 0.860 1
O37 O 0.020 0.832 0.413 1
O38 O 0.817 0.992 0.413 1
O39 O 0.185 0.197 0.410 1
O40 O 0.008 0.183 0.913 1
O41 O 0.168 0.980 0.913 1
O42 O 0.803 0.815 0.910 1
O43 O 0.965 0.161 0.586 1
O44 O 0.184 0.032 0.588 1
O45 O 0.846 0.817 0.587 1
O46 O 0.968 0.816 0.088 1
O47 O 0.839 0.035 0.086 1
O48 O 0.183 0.154 0.087 1
O49 O 0.686 0.166 0.746 1
O50 O 0.484 0.326 0.746 1
O51 O 0.852 0.530 0.743 1
O52 O 0.674 0.516 0.246 1
O53 O 0.834 0.314 0.246 1
O54 O 0.470 0.148 0.243 1
O55 O 0.631 0.495 0.919 1
O56 O 0.850 0.366 0.921 1
O57 O 0.512 0.150 0.921 1
O58 O 0.634 0.150 0.421 1
O59 O 0.505 0.369 0.419 1
O60 O 0.850 0.488 0.421 1
O61 O 0.353 0.499 0.080 1
O62 O 0.151 0.659 0.080 1
O63 O 0.518 0.864 0.077 1
O64 O 0.341 0.849 0.580 1
O65 O 0.501 0.647 0.580 1
O66 O 0.136 0.482 0.577 1
O67 O 0.298 0.828 0.253 1
O68 O 0.517 0.699 0.254 1
O69 O 0.179 0.484 0.254 1
O70 O 0.301 0.483 0.754 1
O71 O 0.172 0.702 0.753 1
O72 O 0.516 0.821 0.754 1
```

[3]
# Mg5Ga GGA-PBE relaxed
# SG   No. 155
# ΔE to the lowest computed polymorph   0.0 meV/atom
data_Mg5Ga
_symmetry_space_group_name_H-M 'P 1'
_symmetry_Int_Tables_number 1
_symmetry_space_group_name_Hall 'P 1'
_cell_length_a 6.059
_cell_length_b 6.059
_cell_length_c 6.059
_cell_angle_alpha 52.49
_cell_angle_beta 52.49
_cell_angle_gamma 52.49
loop_
_atom_site_label
_atom_site_type_symbol
_atom_site_fract_x
_atom_site_fract_y
_atom_site_fract_z
_atom_site_occupancy
Mg1 Mg 0.000 0.664 0.336 1
Mg2 Mg 0.833 0.833 0.833 1
Mg3 Mg 0.664 0.336 0.000 1
Mg4 Mg 0.336 0.000 0.664 1
Mg5 Mg 0.167 0.167 0.167 1
Ga1 Ga 0.500 0.500 0.500 1

[4]
# Dy3Co6Sn5 GGA-PBE relaxed
# SG   No. 71
data_Dy3Co6Sn5
_symmetry_space_group_name_H-M 'P 1'
_symmetry_Int_Tables_number 1
_symmetry_space_group_name_Hall 'P 1'
_cell_length_a 8.115
_cell_length_b 8.115
_cell_length_c 8.115
_cell_angle_alpha 149.15
_cell_angle_beta 107.33
_cell_angle_gamma 81.00
loop_
_atom_site_label
_atom_site_type_symbol
_atom_site_fract_x
_atom_site_fract_y
_atom_site_fract_z
_atom_site_occupancy
Dy1 Dy 0.318 0.318 0.000 1
Dy2 Dy 0.682 0.682 0.000 1
Dy3 Dy 0.000 0.000 0.000 1
Co1 Co 0.380 0.107 0.273 1
Co2 Co 0.620 0.893 0.727 1
Co3 Co 0.834 0.107 0.727 1
Co4 Co 0.695 0.500 0.195 1
Co5 Co 0.305 0.500 0.805 1
Co6 Co 0.166 0.893 0.273 1
Sn1 Sn 0.982 0.323 0.659 1
Sn2 Sn 0.336 0.677 0.659 1
Sn3 Sn 0.664 0.323 0.341 1
Sn4 Sn 0.500 0.000 0.500 1
Sn5 Sn 0.018 0.677 0.341 1

[5]
# K3MnH5 GGA-PBE relaxed
# SG   No. 140
data_K3MnH5
_symmetry_space_group_name_H-M 'P 1'
_symmetry_Int_Tables_number 1
_symmetry_space_group_name_Hall 'P 1'
_cell_length_a 7.943
_cell_length_b 7.943
_cell_length_c 7.943
_cell_angle_alpha 122.36
_cell_angle_beta 122.36
_cell_angle_gamma 85.95
loop_
_atom_site_label
_atom_site_type_symbol
_atom_site_fract_x
_atom_site_fract_y
_atom_site_fract_z
_atom_site_occupancy
K1 K 0.186 0.686 0.873 1
K2 K 0.814 0.314 0.127 1
K3 K 0.686 0.814 0.500 1
K4 K 0.314 0.186 0.500 1
K5 K 0.250 0.250 0.000 1
K6 K 0.750 0.750 0.000 1
Mn1 Mn 0.250 0.750 0.500 1
Mn2 Mn 0.750 0.250 0.500 1
H1 H 0.470 0.970 0.755 1
H2 H 0.215 0.715 0.245 1
H3 H 0.970 0.215 0.500 1
H4 H 0.715 0.470 0.500 1
H5 H 0.530 0.030 0.245 1
H6 H 0.785 0.285 0.755 1
H7 H 0.030 0.785 0.500 1
H8 H 0.285 0.530 0.500 1
H9 H 0.500 0.500 0.000 1
H10 H 0.000 0.000 0.000 1

[6]
# K2NaGaF6 GGA-PBE relaxed
# SG   No. 225
data_K2NaGaF6
_symmetry_space_group_name_H-M 'P 1'
_symmetry_Int_Tables_number 1
_symmetry_space_group_name_Hall 'P 1'
_cell_length_a 5.943
_cell_length_b 5.943
_cell_length_c 5.943
_cell_angle_alpha 60.00
_cell_angle_beta 60.00
_cell_angle_gamma 60.00
loop_
_atom_site_label
_atom_site_type_symbol
_atom_site_fract_x
_atom_site_fract_y
_atom_site_fract_z
_atom_site_occupancy
K1 K 0.750 0.750 0.750 1
K2 K 0.250 0.250 0.250 1
Na1 Na 0.500 0.500 0.500 1
Ga1 Ga 0.000 0.000 0.000 1
F1 F 0.771 0.229 0.229 1
F2 F 0.229 0.229 0.771 1
F3 F 0.229 0.771 0.771 1
F4 F 0.229 0.771 0.229 1
F5 F 0.771 0.229 0.771 1
F6 F 0.771 0.771 0.229 1

[7]
# NaIO4 GGA-PBE relaxed
# SG   No. 5
# ΔE to the lowest computed polymorph   353.9 meV/atom
data_NaIO4
_symmetry_space_group_name_H-M 'P 1'
_symmetry_Int_Tables_number 1
_symmetry_space_group_name_Hall 'P 1'
_cell_length_a 7.003
_cell_length_b 7.003
_cell_length_c 9.236
_cell_angle_alpha 61.12
_cell_angle_beta 61.12
_cell_angle_gamma 32.16
loop_
_atom_site_label
_atom_site_type_symbol
_atom_site_fract_x
_atom_site_fract_y
_atom_site_fract_z
_atom_site_occupancy
Na1 Na 0.176 0.605 0.903 1
Na2 Na 0.395 0.824 0.097 1
I1 I 0.067 0.335 0.720 1
I2 I 0.665 0.933 0.280 1
O1 O 0.991 0.437 0.904 1
O2 O 0.563 0.009 0.096 1
O3 O 0.267 0.903 0.815 1
O4 O 0.097 0.733 0.185 1
O5 O 0.491 0.151 0.598 1
O6 O 0.849 0.509 0.402 1
O7 O 0.694 0.183 0.699 1
O8 O 0.817 0.306 0.301 1

[8]
# Na3Hf2SiGe2P5O24 GGA-PBE relaxed
# SG   No. 1
data_Na3Hf2SiGe2P5O24
_symmetry_space_group_name_H-M 'P 1'
_symmetry_Int_Tables_number 1
_symmetry_space_group_name_Hall 'P 1'
_cell_length_a 8.687
_cell_length_b 8.661
_cell_length_c 22.330
_cell_angle_alpha 90.17
_cell_angle_beta 89.86
_cell_angle_gamma 119.99
loop_
_atom_site_label
_atom_site_type_symbol
_atom_site_fract_x
_atom_site_fract_y
_atom_site_fract_z
_atom_site_occupancy
Na1 Na 0.363 0.999 0.751 1
Na2 Na 0.664 0.971 0.584 1
Na3 Na 0.669 0.695 0.083 1
Na4 Na 0.011 0.001 0.498 1
Na5 Na 0.008 0.006 0.002 1
Na6 Na 0.675 0.338 0.834 1
Na7 Na 0.667 0.333 0.333 1
Na8 Na 0.323 0.666 0.168 1
Na9 Na 0.328 0.656 0.666 1
Hf1 Hf 0.995 0.001 0.857 1
Hf2 Hf 0.002 0.999 0.648 1
Hf3 Hf 0.669 0.331 0.684 1
Hf4 Hf 0.673 0.336 0.188 1
Hf5 Hf 0.670 0.337 0.980 1
Hf6 Hf 0.662 0.332 0.475 1
Si1 Si 0.699 0.991 0.752 1
Si2 Si 0.367 0.030 0.580 1
Si3 Si 0.973 0.637 0.084 1
Ge1 Ge 0.001 0.000 0.353 1
Ge2 Ge 0.006 0.001 0.150 1
Ge3 Ge 0.327 0.667 0.019 1
Ge4 Ge 0.329 0.666 0.516 1
Ge5 Ge 0.333 0.667 0.313 1
Ge6 Ge 0.337 0.666 0.815 1
P1 P 0.279 0.992 0.253 1
P2 P 0.712 0.722 0.253 1
P3 P 0.008 0.284 0.253 1
P4 P 0.292 0.302 0.753 1
P5 P 0.004 0.704 0.754 1
P6 P 0.969 0.344 0.580 1
P7 P 0.658 0.624 0.580 1
P8 P 0.668 0.037 0.084 1
P9 P 0.365 0.330 0.084 1
P10 P 0.609 0.665 0.918 1
P11 P 0.058 0.392 0.917 1
P12 P 0.334 0.946 0.917 1
P13 P 0.621 0.944 0.413 1
P14 P 0.324 0.382 0.414 1
P15 P 0.056 0.676 0.413 1
O1 O 0.196 0.029 0.309 1
O2 O 0.833 0.805 0.308 1
O3 O 0.972 0.166 0.308 1
O4 O 0.212 0.176 0.807 1
O5 O 0.976 0.793 0.808 1
O6 O 0.827 0.030 0.808 1
O7 O 0.778 0.959 0.690 1
O8 O 0.179 0.218 0.696 1
O9 O 0.045 0.824 0.697 1
O10 O 0.791 0.831 0.194 1
O11 O 0.039 0.202 0.195 1
O12 O 0.166 0.960 0.195 1
O13 O 0.888 0.376 0.637 1
O14 O 0.490 0.110 0.641 1
O15 O 0.629 0.513 0.637 1
O16 O 0.878 0.508 0.142 1
O17 O 0.629 0.117 0.139 1
O18 O 0.489 0.371 0.138 1
O19 O 0.448 0.294 0.028 1
O20 O 0.837 0.551 0.027 1
O21 O 0.701 0.153 0.028 1
O22 O 0.467 0.160 0.524 1
O23 O 0.697 0.542 0.526 1
O24 O 0.845 0.304 0.526 1
O25 O 0.529 0.695 0.976 1
O26 O 0.170 0.472 0.973 1
O27 O 0.305 0.832 0.973 1
O28 O 0.543 0.836 0.472 1
O29 O 0.294 0.464 0.472 1
O30 O 0.168 0.707 0.471 1
O31 O 0.139 0.639 0.358 1
O32 O 0.500 0.860 0.359 1
O33 O 0.361 0.500 0.358 1
O34 O 0.139 0.503 0.860 1
O35 O 0.362 0.866 0.858 1
O36 O 0.497 0.635 0.861 1
O37 O 0.035 0.844 0.407 1
O38 O 0.810 0.965 0.407 1
O39 O 0.157 0.192 0.408 1
O40 O 0.039 0.206 0.913 1
O41 O 0.168 0.966 0.913 1
O42 O 0.796 0.830 0.914 1
O43 O 0.978 0.172 0.588 1
O44 O 0.175 0.011 0.586 1
O45 O 0.821 0.812 0.587 1
O46 O 0.978 0.828 0.094 1
O47 O 0.835 0.017 0.093 1
O48 O 0.180 0.166 0.093 1
O49 O 0.673 0.165 0.747 1
O50 O 0.476 0.318 0.745 1
O51 O 0.837 0.522 0.746 1
O52 O 0.691 0.534 0.246 1
O53 O 0.841 0.303 0.246 1
O54 O 0.465 0.158 0.246 1
O55 O 0.628 0.497 0.921 1
O56 O 0.870 0.370 0.921 1
O57 O 0.502 0.132 0.921 1
O58 O 0.643 0.132 0.419 1
O59 O 0.491 0.363 0.419 1
O60 O 0.870 0.510 0.419 1
O61 O 0.359 0.505 0.075 1
O62 O 0.165 0.651 0.075 1
O63 O 0.505 0.846 0.075 1
O64 O 0.361 0.839 0.572 1
O65 O 0.492 0.642 0.572 1
O66 O 0.154 0.507 0.572 1
O67 O 0.299 0.823 0.259 1
O68 O 0.524 0.701 0.259 1
O69 O 0.176 0.474 0.259 1
O70 O 0.305 0.483 0.760 1
O71 O 0.173 0.689 0.760 1
O72 O 0.500 0.818 0.760 1

[9]
# BaAg2O2 GGA-PBE relaxed
# SG   No. 141
data_BaAg2O2
_symmetry_space_group_name_H-M 'P 1'
_symmetry_Int_Tables_number 1
_symmetry_space_group_name_Hall 'P 1'
_cell_length_a 6.907
_cell_length_b 6.907
_cell_length_c 6.907
_cell_angle_alpha 128.50
_cell_angle_beta 128.50
_cell_angle_gamma 75.81
loop_
_atom_site_label
_atom_site_type_symbol
_atom_site_fract_x
_atom_site_fract_y
_atom_site_fract_z
_atom_site_occupancy
Ba1 Ba 0.500 0.500 0.000 1
Ba2 Ba 0.250 0.750 0.500 1
Ag1 Ag 0.375 0.125 0.250 1
Ag2 Ag 0.875 0.125 0.250 1
Ag3 Ag 0.875 0.625 0.750 1
Ag4 Ag 0.875 0.125 0.750 1
O1 O 0.010 0.510 0.500 1
O2 O 0.260 0.260 0.000 1
O3 O 0.740 0.740 0.000 1
O4 O 0.490 0.990 0.500 1

Number 1: energy of formation from the pure elements -30.9 eV/f.u.. Number 2: energy of formation from the pure elements -63.2 eV/f.u.. Number 3: energy of formation from the pure elements -0.2 eV/f.u.. Number 4: energy of formation from the pure elements -4.8 eV/f.u.. Number 5: energy of formation from the pure elements -1.6 eV/f.u.. Number 6: energy of formation from the pure elements -30.9 eV/f.u.. Number 7: energy of formation from the pure elements -4.4 eV/f.u.. Number 8: energy of formation from the pure elements -105.4 eV/f.u.. Number 9: energy of formation from the pure elements -7.0 eV/f.u..